## CaEuCd2 (r²SCAN)

Data for a relaxed structure of CaEuCd2.

abc: 5.4754 5.4754 5.4754
angles: 60.00 60.00 60.00
Closest atoms and distances in Å follow each position.
Element x y z (fractional)
Ca 0.5000 0.5000 0.5000  8 Cd 3.35
Eu 0.0000 0.0000 0.0000  8 Cd 3.35
Cd 0.7500 0.7500 0.7500  4 Ca 3.35, 4 Eu 3.35
Cd 0.2500 0.2500 0.2500  4 Ca 3.35, 4 Eu 3.35

energy relative to the elements	-0.373	eV/atom
symmetry	No. 225
calculated density	5.964	g cm⁻³

=====

## Eu2InPd2 (r²SCAN)

Data for a relaxed structure of Eu2InPd2.

abc: 5.9310 5.9310 8.2879
angles: 77.23 77.23 59.48
Closest atoms and distances in Å follow each position.
Element x y z (fractional)
Eu 0.7931 0.5022 0.3524  6 Pd 3.12-3.28, 1 In 3.48
Eu 0.4978 0.2069 0.1476  6 Pd 3.12-3.28, 1 In 3.48
Eu 0.2069 0.4978 0.6476  6 Pd 3.12-3.28, 1 In 3.48
Eu 0.5022 0.7931 0.8524  6 Pd 3.12-3.28, 1 In 3.48
In 0.1492 0.8508 0.2500  4 Pd 2.76-2.77
In 0.8508 0.1492 0.7500  4 Pd 2.76-2.77
Pd 0.0016 0.7280 0.0027  1 Pd 2.72, 2 In 2.76-2.77
Pd 0.2720 0.9984 0.4973  1 Pd 2.72, 2 In 2.76-2.77
Pd 0.9984 0.2720 0.9973  1 Pd 2.72, 2 In 2.76-2.77
Pd 0.7280 0.0016 0.5027  1 Pd 2.72, 2 In 2.76-2.77

energy relative to the elements	-0.768	eV/atom
symmetry	No. 15
calculated density	8.636	g cm⁻³

=====

## GaPO4 (r²SCAN)

Data for a relaxed structure of GaPO4.

abc: 4.8963 4.8963 11.0897
angles: 90.00 90.00 120.00
Closest atoms and distances in Å follow each position.
Element x y z (fractional)
Ga 0.5447 0.5447 0.0000  4 O 1.82-1.83
Ga 0.0000 0.4553 0.6667  4 O 1.82-1.83
Ga 0.4553 0.0000 0.3333  4 O 1.82-1.83
P 0.5452 0.5452 0.5000  4 O 1.53
P 0.0000 0.4549 0.1667  4 O 1.53
P 0.4549 0.0000 0.8333  4 O 1.53
O 0.2742 0.4076 0.1289  1 P 1.53
O 0.5924 0.8666 0.4622  1 P 1.53
O 0.1334 0.7258 0.7956  1 P 1.53
O 0.8666 0.5924 0.5378  1 P 1.53
O 0.7258 0.1334 0.2044  1 P 1.53
O 0.4076 0.2742 0.8711  1 P 1.53
O 0.4083 0.3211 0.3923  1 P 1.53
O 0.6789 0.0872 0.7256  1 P 1.53
O 0.9128 0.5917 0.0589  1 P 1.53
O 0.0872 0.6789 0.2744  1 P 1.53
O 0.5917 0.9128 0.9411  1 P 1.53
O 0.3211 0.4083 0.6077  1 P 1.53

energy relative to the elements	-2.329	eV/atom
symmetry	No. 152
calculated density	3.563	g cm⁻³

=====

## TbB2Ir2 (r²SCAN)

Data for a relaxed structure of TbB2Ir2.

abc: 7.1683 6.1707 5.4742
angles: 75.72 56.54 47.74
Closest atoms and distances in Å follow each position.
Element x y z (fractional)
Tb 0.5000 0.5000 0.5000  6 B 2.98-3.15, 8 Ir 3.05-3.20
Tb 0.7500 0.7500 0.7500  6 B 2.98-3.15, 8 Ir 3.05-3.20
B 0.1800 0.8200 0.1800  4 Ir 2.07-2.17
B 0.0700 0.4300 0.0700  4 Ir 2.07-2.17
B 0.8200 0.1800 0.8200  4 Ir 2.07-2.17
B 0.4300 0.0700 0.4300  4 Ir 2.07-2.17
Ir 0.8729 0.8729 0.1271  4 B 2.07-2.17
Ir 0.1271 0.1271 0.8729  4 B 2.07-2.17
Ir 0.3771 0.3771 0.1229  4 B 2.07-2.17
Ir 0.1229 0.1229 0.3771  4 B 2.07-2.17

energy relative to the elements	-0.855	eV/atom
symmetry	No. 70
calculated density	12.812	g cm⁻³

=====

## RbPdCl3 (r²SCAN)

Data for a relaxed structure of RbPdCl3.

abc: 4.9477 4.9477 4.9477
angles: 90.00 90.00 90.00
Closest atoms and distances in Å follow each position.
Element x y z (fractional)
Rb 0.0000 0.0000 0.0000  12 Cl 3.50
Pd 0.5000 0.5000 0.5000  6 Cl 2.47
Cl 0.0000 0.5000 0.5000  2 Pd 2.47
Cl 0.5000 0.0000 0.5000  2 Pd 2.47
Cl 0.5000 0.5000 0.0000  2 Pd 2.47

energy relative to the elements	-1.254	eV/atom
symmetry	No. 221
calculated density	4.089	g cm⁻³

=====

## PrB2Ir3 (r²SCAN)

Data for a relaxed structure of PrB2Ir3.

abc: 5.6745 5.6745 2.9677
angles: 90.00 90.00 120.00
Closest atoms and distances in Å follow each position.
Element x y z (fractional)
Pr 0.0000 0.0000 0.0000  2 Pr 2.97, 12 Ir 3.20, 6 B 3.28
B 0.6667 0.3333 0.0000  6 Ir 2.21
B 0.3333 0.6667 0.0000  6 Ir 2.21
Ir 0.5000 0.5000 0.5000  4 B 2.21
Ir 0.5000 0.0000 0.5000  4 B 2.21
Ir 0.0000 0.5000 0.5000  4 B 2.21

energy relative to the elements	-0.696	eV/atom
symmetry	No. 191
calculated density	14.832	g cm⁻³

=====

## Dy2Re2Si2C (r²SCAN)

Data for a relaxed structure of Dy2Re2Si2C.

abc: 5.8146 5.8146 6.9147
angles: 54.83 54.83 40.21
Closest atoms and distances in Å follow each position.
Element x y z (fractional)
Dy 0.4281 0.4281 0.2994  2 C 2.63
Dy 0.5719 0.5719 0.7006  2 C 2.63
Re 0.7926 0.7926 0.0944  1 C 1.93
Re 0.2074 0.2074 0.9056  1 C 1.93
Si 0.8570 0.8570 0.6859  3 Re 2.43-2.46, 1 Si 2.55
Si 0.1430 0.1430 0.3141  3 Re 2.43-2.46, 1 Si 2.55
C 0.0000 0.0000 0.0000  2 Re 1.93

energy relative to the elements	-0.712	eV/atom
symmetry	No. 12
calculated density	10.665	g cm⁻³

=====

## Bi (r²SCAN)

Data for a relaxed structure of Bi.

abc: 4.6041 4.6101 6.5596
angles: 89.78 90.00 90.00
Closest atoms and distances in Å follow each position.
Element x y z (fractional)
Bi 0.7500 0.2409 0.2460  6 Bi 3.23-3.33
Bi 0.7500 0.2601 0.7539  6 Bi 3.23-3.33
Bi 0.2500 0.7399 0.2461  6 Bi 3.23-3.33
Bi 0.2500 0.7591 0.7540  6 Bi 3.23-3.33

energy relative to the elements	0.072	eV/atom
E above lowest polymorph	1.659	kcal/mol of atoms
calculated density	9.970	g cm⁻³

=====

## GaCuCl4 (r²SCAN)

Data for a relaxed structure of GaCuCl4.

abc: 5.4112 5.4112 10.1541
angles: 90.00 90.00 90.00
Closest atoms and distances in Å follow each position.
Element x y z (fractional)
Ga 0.0000 0.5000 0.7500  4 Cl 2.20
Ga 0.5000 0.0000 0.2500  4 Cl 2.20
Cu 0.0000 0.0000 0.5000  4 Cl 2.32
Cu 0.0000 0.0000 0.0000  4 Cl 2.32
Cl 0.7625 0.7336 0.6262  1 Ga 2.20, 1 Cu 2.32
Cl 0.7336 0.2375 0.3738  1 Ga 2.20, 1 Cu 2.32
Cl 0.2664 0.7625 0.3738  1 Ga 2.20, 1 Cu 2.32
Cl 0.7625 0.2664 0.8738  1 Ga 2.20, 1 Cu 2.32
Cl 0.2375 0.7336 0.8738  1 Ga 2.20, 1 Cu 2.32
Cl 0.2375 0.2664 0.6262  1 Ga 2.20, 1 Cu 2.32
Cl 0.2664 0.2375 0.1262  1 Ga 2.20, 1 Cu 2.32
Cl 0.7336 0.7625 0.1262  1 Ga 2.20, 1 Cu 2.32

energy relative to the elements	-1.025	eV/atom
symmetry	No. 112
calculated density	3.073	g cm⁻³

=====

## ThSi2 (r²SCAN)

Data for a relaxed structure of ThSi2.

abc: 4.1381 4.1381 7.7604
angles: 105.46 105.46 90.00
Closest atoms and distances in Å follow each position.
Element x y z (fractional)
Th 0.1250 0.3750 0.7500  12 Si 3.16
Th 0.8750 0.6250 0.2500  12 Si 3.16
Si 0.5415 0.7915 0.5830  3 Si 2.39-2.40
Si 0.2915 0.0415 0.0830  3 Si 2.39-2.40
Si 0.4585 0.2085 0.4170  3 Si 2.39-2.40
Si 0.7085 0.9585 0.9170  3 Si 2.39-2.40

energy relative to the elements	-0.612	eV/atom
symmetry	No. 141
calculated density	7.777	g cm⁻³

=====

## Ge (r²SCAN)

Data for a relaxed structure of Ge.

abc: 10.7838 10.7838 10.7838
angles: 60.00 60.00 60.00
Closest atoms and distances in Å follow each position.
Element x y z (fractional)
Ge 0.1250 0.1250 0.1250  4 Ge 2.43
Ge 0.8750 0.8750 0.8750  4 Ge 2.43
Ge 0.7831 0.7831 0.1506  4 Ge 2.43-2.46
Ge 0.7831 0.1506 0.7831  4 Ge 2.43-2.46
Ge 0.1506 0.7831 0.7831  4 Ge 2.43-2.46
Ge 0.7831 0.7831 0.7831  4 Ge 2.43-2.46
Ge 0.2169 0.2169 0.8494  4 Ge 2.43-2.46
Ge 0.2169 0.8494 0.2169  4 Ge 2.43-2.46
Ge 0.8494 0.2169 0.2169  4 Ge 2.43-2.46
Ge 0.2169 0.2169 0.2169  4 Ge 2.43-2.46
Ge 0.6296 0.6296 0.2355  4 Ge 2.46-2.48
Ge 0.0053 0.2355 0.6296  4 Ge 2.46-2.48
Ge 0.2355 0.0053 0.6296  4 Ge 2.46-2.48
Ge 0.6296 0.6296 0.0053  4 Ge 2.46-2.48
Ge 0.2355 0.6296 0.6296  4 Ge 2.46-2.48
Ge 0.6296 0.0053 0.2355  4 Ge 2.46-2.48
Ge 0.6296 0.2355 0.0053  4 Ge 2.46-2.48
Ge 0.0053 0.6296 0.6296  4 Ge 2.46-2.48
Ge 0.6296 0.2355 0.6296  4 Ge 2.46-2.48
Ge 0.2355 0.6296 0.0053  4 Ge 2.46-2.48
Ge 0.0053 0.6296 0.2355  4 Ge 2.46-2.48
Ge 0.6296 0.0053 0.6296  4 Ge 2.46-2.48
Ge 0.3704 0.3704 0.7645  4 Ge 2.46-2.48
Ge 0.9947 0.7645 0.3704  4 Ge 2.46-2.48
Ge 0.7645 0.9947 0.3704  4 Ge 2.46-2.48
Ge 0.3704 0.3704 0.9947  4 Ge 2.46-2.48
Ge 0.7645 0.3704 0.3704  4 Ge 2.46-2.48
Ge 0.3704 0.9947 0.7645  4 Ge 2.46-2.48
Ge 0.3704 0.7645 0.9947  4 Ge 2.46-2.48
Ge 0.9947 0.3704 0.3704  4 Ge 2.46-2.48
Ge 0.3704 0.7645 0.3704  4 Ge 2.46-2.48
Ge 0.7645 0.3704 0.9947  4 Ge 2.46-2.48
Ge 0.9947 0.3704 0.7645  4 Ge 2.46-2.48
Ge 0.3704 0.9947 0.3704  4 Ge 2.46-2.48

energy relative to the elements	0.043	eV/atom
symmetry	No. 227
E above lowest polymorph	0.997	kcal/mol of atoms
calculated density	4.625	g cm⁻³

=====

## RhCl3 (r²SCAN)

Data for a relaxed structure of RhCl3.

abc: 6.0005 6.0005 6.2010
angles: 99.09 99.09 120.00
Closest atoms and distances in Å follow each position.
Element x y z (fractional)
Rh 0.1666 0.8334 0.0000  6 Cl 2.35
Rh 0.8334 0.1666 0.0000  6 Cl 2.35
Cl 0.9242 0.5728 0.2232  2 Rh 2.35
Cl 0.4272 0.0758 0.7768  2 Rh 2.35
Cl 0.7783 0.7783 0.7762  2 Rh 2.35
Cl 0.2217 0.2217 0.2238  2 Rh 2.35
Cl 0.5728 0.9242 0.2232  2 Rh 2.35
Cl 0.0758 0.4272 0.7768  2 Rh 2.35

energy relative to the elements	-0.785	eV/atom
symmetry	No. 12
calculated density	3.788	g cm⁻³